Material: Tb2Nb2O7
Method: DFT, PBE
State: optimized geometry

Results
- Symmetry: Fd-3m
- Magnetization: 0.0 μB/cell

```
Tb2Nb2O7
1.0
0.0000 5.2052 5.2052
5.2052 0.0000 5.2052
5.2052 5.2052 0.0000
Tb Nb O
4 4 14
direct
0.0000 0.0000 0.0000
0.0000 0.0000 0.5000
0.0000 0.5000 0.0000
0.5000 0.0000 0.0000
0.0000 0.5000 0.5000
0.5000 0.0000 0.5000
0.5000 0.5000 0.0000
0.5000 0.5000 0.5000
0.1250 0.1250 0.1250
0.1556 0.1556 0.5944
0.1556 0.5944 0.1556
0.1556 0.5944 0.5944
0.4056 0.4056 0.8444
0.4056 0.8444 0.4056
0.4056 0.8444 0.8444
0.5944 0.1556 0.1556
0.5944 0.1556 0.5944
0.5944 0.5944 0.1556
0.8444 0.4056 0.4056
0.8444 0.4056 0.8444
0.8444 0.8444 0.4056
0.8750 0.8750 0.8750
```


Material: CsSm2Cu3Se5
Method: DFT, PBE
State: optimized geometry

Results
- Symmetry: Cmcm
- Magnetization: 0.0 μB/cell

```
CsSm2Cu3Se5
1.0
2.1252 -7.3475 0.0000
2.1252 7.3475 0.0000
0.0000 0.0000 17.6903
Cs Sm Cu Se
2 4 6 10
direct
0.0613 0.9387 0.7500
0.9387 0.0613 0.2500
0.1924 0.8076 0.0904
0.1924 0.8076 0.4096
0.8076 0.1924 0.5904
0.8076 0.1924 0.9096
0.3409 0.6591 0.7500
0.4174 0.5826 0.0307
0.4174 0.5826 0.4693
0.5826 0.4174 0.5307
0.5826 0.4174 0.9693
0.6591 0.3409 0.2500
0.1689 0.8311 0.5705
0.1689 0.8311 0.9295
0.2351 0.7649 0.2500
0.4405 0.5595 0.6099
0.4405 0.5595 0.8901
0.5595 0.4405 0.1099
0.5595 0.4405 0.3901
0.7649 0.2351 0.7500
0.8311 0.1689 0.0705
0.8311 0.1689 0.4295
```


Material: LiBPt3
Method: DFT, PBE
State: optimized geometry

Results
- Symmetry: P-62m

```
LiBPt3
1.0
9.3362 0.0000 0.0000
-4.6681 8.0854 0.0000
0.0000 0.0000 2.8059
Li B Pt
3 3 9
direct
0.0000 0.3623 0.0000
0.3623 0.0000 0.0000
0.6377 0.6377 0.0000
0.0000 0.0000 0.5000
0.3333 0.6667 0.0000
0.6667 0.3333 0.0000
0.0000 0.8227 0.0000
0.1653 0.6817 0.5000
0.1773 0.1773 0.0000
0.3183 0.4837 0.5000
0.4837 0.3183 0.5000
0.5163 0.8347 0.5000
0.6817 0.1653 0.5000
0.8227 0.0000 0.0000
0.8347 0.5163 0.5000
```


Material: TiB6O6
Method: DFT, PBE
State: optimized geometry

Results
- Symmetry: C2/m
- Magnetization: 0.2 μB/cell

```
TiB6O6
1.0
4.5865 -3.9274 0.0000
4.5865 3.9274 0.0000
-3.6485 0.0000 4.7573
Ti B O
1 6 6
direct
0.0000 0.0000 0.0000
0.0770 0.3943 0.9150
0.1651 0.1651 0.5071
0.3943 0.0770 0.9150
0.6057 0.9230 0.0850
0.8349 0.8349 0.4929
0.9230 0.6057 0.0850
0.0578 0.3599 0.6624
0.2416 0.2416 0.0411
0.3599 0.0578 0.6624
0.6401 0.9422 0.3376
0.7584 0.7584 0.9589
0.9422 0.6401 0.3376
```


Material: Cs2KAuF6
Method: DFT, PBE
State: optimized geometry

Results
- Symmetry: Fm-3m
- Magnetization: 2.0 μB/cell

```
Cs2KAuF6
1.0
0.0000 4.7292 4.7292
4.7292 0.0000 4.7292
4.7292 4.7292 0.0000
Cs K Au F
2 1 1 6
direct
0.2500 0.2500 0.2500
0.7500 0.7500 0.7500
0.0000 0.0000 0.0000
0.5000 0.5000 0.5000
0.2719 0.2719 0.7281
0.2719 0.7281 0.2719
0.2719 0.7281 0.7281
0.7281 0.2719 0.2719
0.7281 0.2719 0.7281
0.7281 0.7281 0.2719
```


Material: YSnF7
Method: DFT, PBE
State: optimized geometry

Results
- Symmetry: P2_1
- Offset from the most stable computed form: 0.03 eV/f.u.

```
YSnF7
1.0
6.0490 0.0000 0.0000
0.0000 5.7876 0.0000
-1.8878 0.0000 8.0543
Y Sn F
2 2 14
direct
0.1543 0.0000 0.1890
0.8457 0.5000 0.8110
0.3148 0.0063 0.7259
0.6852 0.5063 0.2741
0.0276 0.7180 0.0128
0.0681 0.7702 0.7036
0.0976 0.2733 0.7051
0.2722 0.0019 0.4802
0.3693 0.0078 0.9725
0.4366 0.7385 0.2640
0.4428 0.2631 0.2571
0.5572 0.7631 0.7429
0.5634 0.2385 0.7360
0.6307 0.5078 0.0275
0.7278 0.5019 0.5198
0.9024 0.7733 0.2949
0.9319 0.2702 0.2964
0.9724 0.2180 0.9872
```


Material: CsNb2S4
Method: DFT, PBE
State: optimized geometry

Results
- Symmetry: Pnnm
- Offset from the most stable computed form: 0.00 eV/f.u.

```
CsNb2S4
1.0
5.8528 0.0000 0.0000
0.0000 17.5306 0.0000
0.0000 0.0000 3.4808
Cs Nb S
2 4 8
direct
0.0000 0.0000 0.0000
0.5000 0.5000 0.5000
0.0009 0.2500 0.0000
0.4991 0.7500 0.5000
0.5009 0.2500 0.5000
0.9991 0.7500 0.0000
0.1645 0.3377 0.5000
0.1663 0.1623 0.5000
0.3337 0.6623 0.0000
0.3355 0.8377 0.0000
0.6645 0.1623 0.0000
0.6663 0.3377 0.0000
0.8337 0.8377 0.5000
0.8355 0.6623 0.5000
```


Material: Na6Sn2B4SO16
Method: DFT, PBE
State: optimized geometry

Results
- Symmetry: Fd-3
- Magnetization: 0.0 μB/cell

```
Na6Sn2B4SO16
1.0
0.0000 7.0974 7.0974
7.0974 0.0000 7.0974
7.0974 7.0974 0.0000
Na Sn B S O
12 4 8 2 32
direct
0.0885 0.0885 0.6615
0.0885 0.6615 0.0885
0.0885 0.6615 0.6615
0.3385 0.3385 0.9115
0.3385 0.9115 0.3385
0.3385 0.9115 0.9115
0.6615 0.0885 0.0885
0.6615 0.0885 0.6615
0.6615 0.6615 0.0885
0.9115 0.3385 0.3385
0.9115 0.3385 0.9115
0.9115 0.9115 0.3385
0.0000 0.5000 0.5000
0.5000 0.0000 0.5000
0.5000 0.5000 0.0000
0.5000 0.5000 0.5000
0.2841 0.2841 0.2841
0.2841 0.2841 0.6478
0.2841 0.6478 0.2841
0.3522 0.7159 0.7159
0.6478 0.2841 0.2841
0.7159 0.3522 0.7159
0.7159 0.7159 0.3522
0.7159 0.7159 0.7159
0.1250 0.1250 0.1250
0.8750 0.8750 0.8750
0.0642 0.0642 0.0642
0.0642 0.0642 0.3075
0.0642 0.3075 0.0642
0.1343 0.3064 0.6518
0.1343 0.4075 0.3064
0.1343 0.6518 0.4075
0.3064 0.1343 0.4075
0.3064 0.4075 0.6518
0.3064 0.6518 0.1343
0.3075 0.0642 0.0642
0.3482 0.5925 0.8657
0.3482 0.6936 0.5925
0.3482 0.8657 0.6936
0.4075 0.1343 0.6518
0.4075 0.3064 0.1343
0.4075 0.6518 0.3064
0.5925 0.3482 0.6936
0.5925 0.6936 0.8657
0.5925 0.8657 0.3482
0.6518 0.1343 0.3064
0.6518 0.3064 0.4075
0.6518 0.4075 0.1343
0.6925 0.9358 0.9358
0.6936 0.3482 0.8657
0.6936 0.5925 0.3482
0.6936 0.8657 0.5925
0.8657 0.3482 0.5925
0.8657 0.5925 0.6936
0.8657 0.6936 0.3482
0.9358 0.6925 0.9358
0.9358 0.9358 0.6925
0.9358 0.9358 0.9358
```


Material: TbAlPd
Method: DFT, PBE
State: optimized geometry

Results
- Symmetry: Pnma

```
TbAlPd
1.0
6.9543 0.0000 0.0000
0.0000 4.4646 0.0000
0.0000 0.0000 7.8035
Tb Al Pd
4 4 4
direct
0.0326 0.2500 0.1806
0.4674 0.7500 0.6806
0.5326 0.2500 0.3194
0.9674 0.7500 0.8194
0.1450 0.2500 0.5633
0.3550 0.7500 0.0633
0.6450 0.2500 0.9367
0.8550 0.7500 0.4367
0.2263 0.7500 0.3833
0.2737 0.2500 0.8833
0.7263 0.7500 0.1167
0.7737 0.2500 0.6167
```


Material: NdZn2
Method: DFT, PBE
State: optimized geometry

Results
- Symmetry: Imma

```
NdZn2
1.0
-2.3040 3.7299 3.7809
2.3040 -3.7299 3.7809
2.3040 3.7299 -3.7809
Nd Zn
2 4
direct
0.2889 0.0389 0.2500
0.7111 0.9611 0.7500
0.1104 0.6654 0.4450
0.2796 0.3346 0.9450
0.7204 0.6654 0.0550
0.8896 0.3346 0.5550
```


Material: NpSi2Ir2
Method: DFT, PBE
State: optimized geometry

Results
- Symmetry: P4/nmm

```
NpSi2Ir2
1.0
4.1320 0.0000 0.0000
0.0000 4.1320 0.0000
0.0000 0.0000 9.9039
Np Si Ir
2 4 4
direct
0.2500 0.2500 0.2420
0.7500 0.7500 0.7580
0.2500 0.2500 0.6308
0.2500 0.7500 0.0000
0.7500 0.2500 0.0000
0.7500 0.7500 0.3692
0.2500 0.2500 0.8714
0.2500 0.7500 0.5000
0.7500 0.2500 0.5000
0.7500 0.7500 0.1286
```


Material: TaO2
Method: DFT, PBE
State: optimized geometry

Results
- Symmetry: I4_1/a
- Magnetization: 0.0 μB/cell

```
TaO2
1.0
-7.8324 7.8324 2.9875
7.8324 -7.8324 2.9875
7.8324 7.8324 -2.9875
Ta O
16 32
direct
0.0073 0.0469 0.2928
0.0566 0.2424 0.0769
0.2145 0.5073 0.4604
0.2540 0.7145 0.2072
0.2576 0.8345 0.8142
0.3345 0.0203 0.5769
0.4531 0.2460 0.9604
0.4797 0.5566 0.3142
0.5203 0.4434 0.6858
0.5469 0.7540 0.0396
0.6655 0.9797 0.4231
0.7424 0.1655 0.1858
0.7460 0.2855 0.7928
0.7855 0.4927 0.5396
0.9434 0.7576 0.9231
0.9927 0.9531 0.7072
0.0151 0.7163 0.4500
0.0321 0.3879 0.1069
0.0651 0.5151 0.7988
0.1121 0.7190 0.6442
0.1271 0.0600 0.8830
0.2163 0.2663 0.7012
0.2190 0.0747 0.6069
0.2337 0.4349 0.9500
0.2433 0.0417 0.0588
0.2559 0.3729 0.4329
0.3155 0.2567 0.2984
0.3231 0.7559 0.3830
0.4253 0.5321 0.1442
0.4400 0.8231 0.0671
0.4583 0.0171 0.2016
0.4829 0.1845 0.4412
0.5171 0.8155 0.5588
0.5417 0.9829 0.7984
0.5600 0.1769 0.9329
0.5747 0.4679 0.8558
0.6769 0.2441 0.6170
0.6845 0.7433 0.7016
0.7441 0.6271 0.5671
0.7567 0.9583 0.9412
0.7663 0.5651 0.0500
0.7810 0.9253 0.3931
0.7837 0.7337 0.2988
0.8729 0.9400 0.1170
0.8879 0.2810 0.3558
0.9349 0.4849 0.2012
0.9679 0.6121 0.8931
0.9849 0.2837 0.5500
```


One value per record, in order, for calculated formation energy: -3.38 -1.32 -0.51 -1.64 -2.35 -3.55 -1.49 -2.42 -0.88 -0.37 -0.76 -2.76 eV per atom.